(1)
Here is TePd3 after structural relaxation from Materials Project. Energies are from r²SCAN.

Values from the calculation:
- E_form (eV/atom) = -0.212
- SG = No. 139
- ρ (g cm⁻³) = 11.0

a = 4.501 Å, b = 4.501 Å, c = 6.659 Å
α = 90.00°, β = 90.00°, γ = 90.00°
Fractional positions:
Te (0.000, 0.000, 0.000)
Te (0.500, 0.500, 0.500)
Pd (0.000, 0.000, 0.500)
Pd (0.000, 0.500, 0.250)
Pd (0.000, 0.500, 0.750)
Pd (0.500, 0.000, 0.250)
Pd (0.500, 0.000, 0.750)
Pd (0.500, 0.500, 0.000)

***

(2)
Here is PuOF after structural relaxation from Materials Project. Energies are from r²SCAN.

Values from the calculation:
- E_form (eV/atom) = -3.851
- SG = No. 129
- ρ (g cm⁻³) = 10.4

a = 3.967 Å, b = 3.967 Å, c = 5.680 Å
α = 90.00°, β = 90.00°, γ = 90.00°
Fractional positions:
Pu (0.250, 0.250, 0.217)
Pu (0.750, 0.750, 0.783)
O (0.250, 0.750, 0.000)
O (0.750, 0.250, 0.000)
F (0.250, 0.750, 0.500)
F (0.750, 0.250, 0.500)

***

(3)
Here is Ba3Sr after structural relaxation from Materials Project. Energies are from r²SCAN.

Values from the calculation:
- E_form (eV/atom) = 0.090
- offset from the most stable computed form (eV/atom) = 0.090
- SG = No. 139
- ρ (g cm⁻³) = 3.2

a = 6.305 Å, b = 6.305 Å, c = 13.033 Å
α = 90.00°, β = 90.00°, γ = 90.00°
Fractional positions:
Ba (0.000, 0.000, 0.000)
Ba (0.000, 0.500, 0.250)
Ba (0.000, 0.500, 0.750)
Ba (0.500, 0.000, 0.250)
Ba (0.500, 0.000, 0.750)
Ba (0.500, 0.500, 0.500)
Sr (0.000, 0.000, 0.500)
Sr (0.500, 0.500, 0.000)

***

(4)
Here is YbPb3 after structural relaxation from Materials Project. Energies are from r²SCAN.

Values from the calculation:
- E_form (eV/atom) = -0.274
- SG = No. 221
- ρ (g cm⁻³) = 11.7

a = 4.828 Å, b = 4.828 Å, c = 4.828 Å
α = 90.00°, β = 90.00°, γ = 90.00°
Fractional positions:
Yb (0.000, 0.000, 0.000)
Pb (0.000, 0.500, 0.500)
Pb (0.500, 0.000, 0.500)
Pb (0.500, 0.500, 0.000)

***

(5)
Here is SnRh3 after structural relaxation from Materials Project. Energies are from r²SCAN.

Values from the calculation:
- E_form (eV/atom) = -0.265
- SG = No. 139
- ρ (g cm⁻³) = 11.7

a = 3.999 Å, b = 3.999 Å, c = 7.598 Å
α = 90.00°, β = 90.00°, γ = 90.00°
Fractional positions:
Sn (0.000, 0.000, 0.000)
Sn (0.500, 0.500, 0.500)
Rh (0.000, 0.000, 0.500)
Rh (0.000, 0.500, 0.250)
Rh (0.000, 0.500, 0.750)
Rh (0.500, 0.000, 0.250)
Rh (0.500, 0.000, 0.750)
Rh (0.500, 0.500, 0.000)

***

(6)
Here is Yb2Si2O7 after structural relaxation from Materials Project. Energies are from r²SCAN.

Values from the calculation:
- E_form (eV/atom) = -3.586
- SG = No. 12
- ρ (g cm⁻³) = 6.2

a = 5.547 Å, b = 5.547 Å, c = 4.716 Å
α = 97.34°, β = 97.34°, γ = 105.16°
Fractional positions:
Yb (0.192, 0.808, 0.000)
Yb (0.808, 0.192, 0.000)
Si (0.280, 0.280, 0.589)
Si (0.720, 0.720, 0.411)
O (0.112, 0.416, 0.781)
O (0.115, 0.115, 0.284)
O (0.416, 0.112, 0.781)
O (0.500, 0.500, 0.500)
O (0.584, 0.888, 0.219)
O (0.885, 0.885, 0.716)
O (0.888, 0.584, 0.219)